DFT (PBE) results for a geometry-optimized In2Pt2O7 structure.

The value obtained for the calculated total energy is -0.4290 Ry per atom. As for the space group: No. 227. The formation energy is -1.521 eV per atom.

a = 7.163 Å, b = 7.163 Å, c = 7.163 Å
α = 60.00°, β = 60.00°, γ = 60.00°
Atoms (fractional coordinates):
In (0.000, 0.000, 0.000)
In (0.000, 0.000, 0.500)
In (0.000, 0.500, 0.000)
In (0.500, 0.000, 0.000)
Pt (0.000, 0.500, 0.500)
Pt (0.500, 0.000, 0.500)
Pt (0.500, 0.500, 0.000)
Pt (0.500, 0.500, 0.500)
O (0.125, 0.125, 0.125)
O (0.158, 0.158, 0.592)
O (0.158, 0.592, 0.158)
O (0.158, 0.592, 0.592)
O (0.408, 0.408, 0.842)
O (0.408, 0.842, 0.408)
O (0.408, 0.842, 0.842)
O (0.592, 0.158, 0.158)
O (0.592, 0.158, 0.592)
O (0.592, 0.592, 0.158)
O (0.842, 0.408, 0.408)
O (0.842, 0.408, 0.842)
O (0.842, 0.842, 0.408)
O (0.875, 0.875, 0.875)